# PBE LiEr4Be4Si2O14, relaxed
data_LiEr4Be4Si2O14
_space_group_name_H-M_alt 'P 1'
_space_group_IT_number 1
_space_group_name_Hall 'P 1'
_cell_length_a 4.867
_cell_length_b 7.470
_cell_length_c 7.470
_cell_angle_alpha 87.22
_cell_angle_beta 87.01
_cell_angle_gamma 87.01
loop_
_atom_site_label
_atom_site_fract_x
_atom_site_fract_y
_atom_site_fract_z
Li1 0.558 0.665 0.165
Er1 0.541 0.163 0.663
Er2 0.540 0.889 0.389
Er3 0.475 0.633 0.810
Er4 0.475 0.310 0.133
Be1 0.968 0.625 0.125
Be2 0.959 0.362 0.862
Be3 0.044 0.151 0.369
Be4 0.044 0.869 0.651
Si1 0.010 0.992 0.009
Si2 0.010 0.509 0.492
O1 0.178 0.022 0.522
O2 0.793 0.499 0.999
O3 0.272 0.584 0.084
O4 0.287 0.340 0.840
O5 0.717 0.163 0.360
O6 0.717 0.860 0.663
O7 0.199 0.074 0.164
O8 0.199 0.900 0.845
O9 0.811 0.161 0.924
O10 0.811 0.424 0.661
O11 0.811 0.840 0.102
O12 0.811 0.602 0.340
O13 0.199 0.345 0.400
O14 0.199 0.664 0.574
# Spin magnetization = 0.999 μB per cell
# E above lowest polymorph = 1.23 kcal/mol of atoms

***

# PBE Er2Be2SiO7, relaxed
data_Er2Be2SiO7
_space_group_name_H-M_alt 'P 1'
_space_group_IT_number 1
_space_group_name_Hall 'P 1'
_cell_length_a 7.282
_cell_length_b 7.282
_cell_length_c 4.759
_cell_angle_alpha 90.00
_cell_angle_beta 90.00
_cell_angle_gamma 90.00
loop_
_atom_site_label
_atom_site_fract_x
_atom_site_fract_y
_atom_site_fract_z
Er1 0.159 0.341 0.509
Er2 0.841 0.659 0.509
Er3 0.659 0.159 0.491
Er4 0.341 0.841 0.491
Be1 0.636 0.864 0.955
Be2 0.364 0.136 0.955
Be3 0.136 0.636 0.045
Be4 0.864 0.364 0.045
Si1 0.000 0.000 0.000
Si2 0.500 0.500 0.000
O1 0.000 0.500 0.190
O2 0.500 0.000 0.810
O3 0.641 0.859 0.288
O4 0.359 0.141 0.288
O5 0.141 0.641 0.712
O6 0.859 0.359 0.712
O7 0.080 0.837 0.204
O8 0.920 0.163 0.204
O9 0.163 0.080 0.796
O10 0.420 0.337 0.796
O11 0.837 0.920 0.796
O12 0.580 0.663 0.796
O13 0.337 0.580 0.204
O14 0.663 0.420 0.204
# Spin magnetization = 0.002 μB per cell

***

Eu3BeO5: relaxed, PBE.

Cell and atoms, written as CIF:
```
data_Eu3BeO5
_space_group_name_H-M_alt 'P 1'
_space_group_IT_number 1
_space_group_name_Hall 'P 1'
_cell_length_a 6.576
_cell_length_b 7.202
_cell_length_c 9.524
_cell_angle_alpha 90.00
_cell_angle_beta 90.00
_cell_angle_gamma 90.00
loop_
_atom_site_label
_atom_site_fract_x
_atom_site_fract_y
_atom_site_fract_z
Eu1 0.411 0.750 0.978
Eu2 0.918 0.520 0.826
Eu3 0.418 0.020 0.674
Eu4 0.582 0.980 0.326
Eu5 0.082 0.480 0.174
Eu6 0.418 0.480 0.674
Eu7 0.089 0.750 0.478
Eu8 0.918 0.980 0.826
Eu9 0.589 0.250 0.022
Eu10 0.582 0.520 0.326
Eu11 0.911 0.250 0.522
Eu12 0.082 0.020 0.174
Be1 0.193 0.250 0.898
Be2 0.807 0.750 0.102
Be3 0.307 0.250 0.398
Be4 0.693 0.750 0.602
O1 0.136 0.250 0.725
O2 0.308 0.443 0.929
O3 0.837 0.250 0.278
O4 0.663 0.250 0.778
O5 0.692 0.943 0.071
O6 0.308 0.057 0.929
O7 0.364 0.250 0.225
O8 0.482 0.750 0.510
O9 0.864 0.750 0.275
O10 0.337 0.750 0.222
O11 0.018 0.750 0.010
O12 0.808 0.557 0.571
O13 0.518 0.250 0.490
O14 0.163 0.750 0.722
O15 0.692 0.557 0.071
O16 0.192 0.443 0.429
O17 0.808 0.943 0.571
O18 0.636 0.750 0.775
O19 0.982 0.250 0.990
O20 0.192 0.057 0.429
```

***

# PBE BeF2, relaxed
data_BeF2
_space_group_name_H-M_alt 'P 1'
_space_group_IT_number 1
_space_group_name_Hall 'P 1'
_cell_length_a 9.008
_cell_length_b 9.008
_cell_length_c 9.008
_cell_angle_alpha 93.97
_cell_angle_beta 93.97
_cell_angle_gamma 93.97
loop_
_atom_site_label
_atom_site_fract_x
_atom_site_fract_y
_atom_site_fract_z
Be1 0.667 0.127 0.897
Be2 0.873 0.333 0.103
Be3 0.127 0.897 0.667
Be4 0.103 0.333 0.873
Be5 0.127 0.667 0.897
Be6 0.333 0.103 0.873
Be7 0.897 0.667 0.127
Be8 0.103 0.873 0.333
Be9 0.667 0.897 0.127
Be10 0.333 0.873 0.103
Be11 0.897 0.127 0.667
Be12 0.873 0.103 0.333
F1 0.018 0.018 0.319
F2 0.753 0.753 0.112
F3 0.500 0.853 0.147
F4 0.000 0.735 0.265
F5 0.853 0.147 0.500
F6 0.000 0.265 0.735
F7 0.247 0.247 0.888
F8 0.982 0.681 0.982
F9 0.888 0.247 0.247
F10 0.147 0.853 0.500
F11 0.982 0.982 0.681
F12 0.147 0.500 0.853
F13 0.735 0.000 0.265
F14 0.735 0.265 0.000
F15 0.247 0.888 0.247
F16 0.018 0.319 0.018
F17 0.265 0.735 0.000
F18 0.112 0.753 0.753
F19 0.265 0.000 0.735
F20 0.853 0.500 0.147
F21 0.319 0.018 0.018
F22 0.753 0.112 0.753
F23 0.681 0.982 0.982
F24 0.500 0.147 0.853
# E above lowest polymorph = 0.06 kcal/mol of atoms

***

# PBE BeF2, relaxed
data_BeF2
_space_group_name_H-M_alt 'P 1'
_space_group_IT_number 1
_space_group_name_Hall 'P 1'
_cell_length_a 12.622
_cell_length_b 6.930
_cell_length_c 7.167
_cell_angle_alpha 62.04
_cell_angle_beta 90.00
_cell_angle_gamma 90.00
loop_
_atom_site_label
_atom_site_fract_x
_atom_site_fract_y
_atom_site_fract_z
Be1 0.893 0.451 0.643
Be2 0.835 0.008 0.905
Be3 0.893 0.556 0.185
Be4 0.898 0.087 0.266
Be5 0.603 0.414 0.234
Be6 0.606 0.945 0.319
Be7 0.667 0.493 0.595
Be8 0.608 0.048 0.860
Be9 0.398 0.913 0.734
Be10 0.393 0.444 0.815
Be11 0.335 0.992 0.095
Be12 0.393 0.549 0.357
Be13 0.108 0.952 0.140
Be14 0.167 0.507 0.405
Be15 0.106 0.055 0.681
Be16 0.103 0.586 0.766
F1 0.905 0.194 0.735
F2 0.901 0.556 0.392
F3 0.889 0.773 0.989
F4 0.891 0.351 0.173
F5 0.723 0.004 0.815
F6 0.861 0.966 0.483
F7 0.519 0.957 0.779
F8 0.825 0.045 0.103
F9 0.676 0.460 0.394
F10 0.982 0.540 0.725
F11 0.640 0.528 0.017
F12 0.777 0.492 0.688
F13 0.607 0.148 0.334
F14 0.612 0.726 0.513
F15 0.599 0.948 0.109
F16 0.391 0.649 0.827
F17 0.596 0.306 0.763
F18 0.361 0.034 0.517
F19 0.389 0.227 0.011
F20 0.405 0.806 0.265
F21 0.325 0.955 0.897
F22 0.401 0.444 0.608
F23 0.223 0.996 0.185
F24 0.019 0.043 0.221
F25 0.277 0.508 0.312
F26 0.099 0.052 0.891
F27 0.176 0.540 0.606
F28 0.096 0.694 0.237
F29 0.482 0.460 0.275
F30 0.112 0.274 0.487
F31 0.140 0.472 0.983
F32 0.107 0.852 0.666
# Spin magnetization = 0.000 μB per cell
# E above lowest polymorph = 2.65 kcal/mol of atoms

***

# PBE BeF2, relaxed
data_BeF2
_space_group_name_H-M_alt 'P 1'
_space_group_IT_number 1
_space_group_name_Hall 'P 1'
_cell_length_a 4.808
_cell_length_b 4.808
_cell_length_c 5.262
_cell_angle_alpha 90.00
_cell_angle_beta 90.00
_cell_angle_gamma 120.00
loop_
_atom_site_label
_atom_site_fract_x
_atom_site_fract_y
_atom_site_fract_z
Be1 0.472 0.000 0.333
Be2 0.000 0.472 0.667
Be3 0.528 0.528 0.000
F1 0.416 0.264 0.211
F2 0.736 0.152 0.544
F3 0.848 0.584 0.877
F4 0.152 0.736 0.456
F5 0.584 0.848 0.123
F6 0.264 0.416 0.789
# E above lowest polymorph = 0.01 kcal/mol of atoms
# Largest piezoelectric modulus = 0.09 C/m²

***

no.,energy relative to the elements (eV/atom),calculated density (g/cm³)
1,-3.286,6.09
2,-3.592,6.48
3,-3.225,8.02
4,-3.548,1.29
5,-3.436,2.26
6,-3.550,2.22